No. 1
# Tb3Si2C2 | the Materials Project database | PBE | relaxed
data_Tb3Si2C2
_cell_length_a 7.5482
_cell_length_b 7.5482
_cell_length_c 4.6767
_cell_angle_alpha 90.00
_cell_angle_beta 90.00
_cell_angle_gamma 148.55
_space_group_name_H-M_alt 'P 1'
_space_group_IT_number 1
loop_
_space_group_symop_operation_xyz
'x,y,z'
loop_
_atom_site_label
_atom_site_fract_x
_atom_site_fract_y
_atom_site_fract_z
Tb1 0.0000 0.0000 0.0000
Tb2 0.3600 0.6400 0.5070
Tb3 0.6400 0.3600 0.5070
Si1 0.2010 0.7990 0.0113
Si2 0.7990 0.2010 0.0113
C1 0.1591 0.1591 0.4994
C2 0.8409 0.8409 0.4994
# space-group type = No. 35
# ΔH_f (0 K) = -0.30 eV per atom
# spin magnetization = 0.00 μB per atom



No. 2
# Ti5Si3C | the Materials Project database | PBE | relaxed
data_Ti5Si3C
_cell_length_a 7.4731
_cell_length_b 7.4731
_cell_length_c 5.1694
_cell_angle_alpha 90.00
_cell_angle_beta 90.00
_cell_angle_gamma 120.00
_space_group_name_H-M_alt 'P 1'
_space_group_IT_number 1
loop_
_space_group_symop_operation_xyz
'x,y,z'
loop_
_atom_site_label
_atom_site_fract_x
_atom_site_fract_y
_atom_site_fract_z
Ti1 0.0000 0.2317 0.2500
Ti2 0.0000 0.7683 0.7500
Ti3 0.2317 0.0000 0.2500
Ti4 0.2317 0.2317 0.7500
Ti5 0.3333 0.6667 0.0000
Ti6 0.3333 0.6667 0.5000
Ti7 0.6667 0.3333 0.0000
Ti8 0.6667 0.3333 0.5000
Ti9 0.7683 0.0000 0.7500
Ti10 0.7683 0.7683 0.2500
Si1 0.0000 0.4064 0.7500
Si2 0.0000 0.5936 0.2500
Si3 0.4064 0.0000 0.7500
Si4 0.4064 0.4064 0.2500
Si5 0.5936 0.0000 0.2500
Si6 0.5936 0.5936 0.7500
C1 0.0000 0.0000 0.0000
C2 0.0000 0.0000 0.5000
# space-group type = No. 193
# ΔH_f (0 K) = -0.82 eV per atom



No. 3
# Tm5Si3C | the Materials Project database | PBE | relaxed
data_Tm5Si3C
_cell_length_a 8.3435
_cell_length_b 8.3435
_cell_length_c 6.2442
_cell_angle_alpha 90.00
_cell_angle_beta 90.00
_cell_angle_gamma 59.90
_space_group_name_H-M_alt 'P 1'
_space_group_IT_number 1
loop_
_space_group_symop_operation_xyz
'x,y,z'
loop_
_atom_site_label
_atom_site_fract_x
_atom_site_fract_y
_atom_site_fract_z
Tm1 0.0006 0.2242 0.7500
Tm2 0.2242 0.0006 0.2500
Tm3 0.2236 0.7764 0.7500
Tm4 0.3332 0.3332 0.0000
Tm5 0.3332 0.3332 0.5000
Tm6 0.6668 0.6668 0.0000
Tm7 0.6668 0.6668 0.5000
Tm8 0.7764 0.2236 0.2500
Tm9 0.7758 0.9994 0.7500
Tm10 0.9994 0.7758 0.2500
Si1 0.0002 0.4056 0.2500
Si2 0.9998 0.5944 0.7500
Si3 0.4056 0.0002 0.7500
Si4 0.4059 0.5941 0.2500
Si5 0.5944 0.9998 0.2500
Si6 0.5941 0.4059 0.7500
C1 0.0000 0.0000 0.0000
C2 0.0000 0.0000 0.5000
# space-group type = No. 63
# ΔH_f (0 K) = -0.64 eV per atom
# spin magnetization = 0.02 μB per atom



No. 4
# U3Si2C2 | the Materials Project database | PBE | relaxed
data_U3Si2C2
_cell_length_a 8.7574
_cell_length_b 8.7574
_cell_length_c 8.7574
_cell_angle_alpha 155.89
_cell_angle_beta 155.89
_cell_angle_gamma 34.35
_space_group_name_H-M_alt 'P 1'
_space_group_IT_number 1
loop_
_space_group_symop_operation_xyz
'x,y,z'
loop_
_atom_site_label
_atom_site_fract_x
_atom_site_fract_y
_atom_site_fract_z
U1 0.0000 0.0000 0.0000
U2 0.1718 0.1718 0.0000
U3 0.8282 0.8282 0.0000
Si1 0.4167 0.4167 0.0000
Si2 0.5833 0.5833 0.0000
C1 0.3042 0.3042 0.0000
C2 0.6958 0.6958 0.0000
# space-group type = No. 139
# ΔH_f (0 K) = -0.25 eV per atom
# spin magnetization = 0.68 μB per atom



No. 5
# Y5Si3C | the Materials Project database | PBE | relaxed
data_Y5Si3C
_cell_length_a 8.4504
_cell_length_b 8.4504
_cell_length_c 6.4667
_cell_angle_alpha 90.00
_cell_angle_beta 90.00
_cell_angle_gamma 120.00
_space_group_name_H-M_alt 'P 1'
_space_group_IT_number 1
loop_
_space_group_symop_operation_xyz
'x,y,z'
loop_
_atom_site_label
_atom_site_fract_x
_atom_site_fract_y
_atom_site_fract_z
Y1 0.0000 0.2235 0.2500
Y2 0.0000 0.7765 0.7500
Y3 0.2235 0.0000 0.2500
Y4 0.2235 0.2235 0.7500
Y5 0.3333 0.6667 0.0000
Y6 0.3333 0.6667 0.5000
Y7 0.6667 0.3333 0.0000
Y8 0.6667 0.3333 0.5000
Y9 0.7765 0.0000 0.7500
Y10 0.7765 0.7765 0.2500
Si1 0.0000 0.4090 0.7500
Si2 0.0000 0.5910 0.2500
Si3 0.4090 0.0000 0.7500
Si4 0.4090 0.4090 0.2500
Si5 0.5910 0.0000 0.2500
Si6 0.5910 0.5910 0.7500
C1 0.0000 0.0000 0.0000
C2 0.0000 0.0000 0.5000
# space-group type = No. 193
# ΔH_f (0 K) = -0.63 eV per atom
# spin magnetization = 0.00 μB per atom



No. 6
# Y20Si12C | the Materials Project database | PBE | relaxed
data_Y20Si12C
_cell_length_a 6.4017
_cell_length_b 14.6942
_cell_length_c 8.4596
_cell_angle_alpha 90.00
_cell_angle_beta 90.09
_cell_angle_gamma 90.00
_space_group_name_H-M_alt 'P 1'
_space_group_IT_number 1
loop_
_space_group_symop_operation_xyz
'x,y,z'
loop_
_atom_site_label
_atom_site_fract_x
_atom_site_fract_y
_atom_site_fract_z
Y1 0.0000 0.1621 0.0000
Y2 0.0000 0.3288 0.5000
Y3 0.0000 0.6712 0.5000
Y4 0.0000 0.8379 0.0000
Y5 0.2483 0.3794 0.8785
Y6 0.2476 0.5000 0.2450
Y7 0.2483 0.6206 0.8785
Y8 0.2732 0.1186 0.3798
Y9 0.2732 0.8814 0.3798
Y10 0.2758 0.0000 0.7361
Y11 0.5000 0.1704 0.0000
Y12 0.5000 0.3362 0.5000
Y13 0.5000 0.6638 0.5000
Y14 0.5000 0.8296 0.0000
Y15 0.7242 0.0000 0.2639
Y16 0.7268 0.1186 0.6202
Y17 0.7268 0.8814 0.6202
Y18 0.7517 0.3794 0.1215
Y19 0.7524 0.5000 0.7550
Y20 0.7517 0.6206 0.1215
Si1 0.2437 0.5000 0.6034
Si2 0.2470 0.3023 0.1981
Si3 0.2470 0.6977 0.1981
Si4 0.2570 0.1997 0.6999
Si5 0.2570 0.8003 0.6999
Si6 0.2632 0.0000 0.0998
Si7 0.7368 0.0000 0.9002
Si8 0.7430 0.1997 0.3001
Si9 0.7430 0.8003 0.3001
Si10 0.7530 0.3023 0.8019
Si11 0.7530 0.6977 0.8019
Si12 0.7563 0.5000 0.3966
C1 0.5000 0.0000 0.5000
# space-group type = No. 10
# ΔH_f (0 K) = -0.71 eV per atom